1.
DFT (PBE) results for an optimized crystal structure of Li3BO3.

Results
The energy of formation comes out at -2.56 eV per atom.

Unit cell a=3.315 b=9.265 c=8.396 alpha=90.00 beta=101.30 gamma=90.00
Space group P2_1/c (No. 14)
Inequivalent atoms, fractional coordinates:
Li 0.008 0.232 0.481
Li 0.225 0.023 0.887
Li 0.406 0.574 0.867
B 0.302 0.186 0.246
O 0.140 0.174 0.721
O 0.271 0.093 0.113
O 0.472 0.138 0.401

---

2.
DFT (PBE) results for an optimized crystal structure of Bi.

Results
The energy of formation comes out at 0.14 eV per atom. For the distance to the lowest polymorph of the same formula, the calculation gives 139 meV/atom.

Unit cell a=3.988 b=3.988 c=3.988 alpha=90.00 beta=90.00 gamma=90.00
Space group Im-3m (No. 229)
Inequivalent atoms, fractional coordinates:
Bi 0.000 0.000 0.000